DFT (PBE) results for an optimized crystal structure of Ba8Ni6N7.

Unit cell a=9.6721 b=9.6721 c=12.0941 alpha=98.40 beta=98.40 gamma=120.48
Closest atoms and distances in Å follow each position.
Element x y z (fractional)
Ba 0.0826 0.9174 0.7500  3 N 2.78-2.81
Ba 0.1169 0.2964 0.5989  4 N 2.87-3.07
Ba 0.2320 0.6365 0.8967  3 N 2.75-3.03
Ba 0.2472 0.7528 0.2500  3 N 2.72-2.82
Ba 0.2964 0.1169 0.0989  4 N 2.87-3.07
Ba 0.3635 0.7680 0.6033  3 N 2.75-3.03
Ba 0.3820 0.4465 0.3572  4 N 2.72-3.00
Ba 0.4465 0.3820 0.8572  4 N 2.72-3.00
Ba 0.5535 0.6180 0.1428  4 N 2.72-3.00
Ba 0.6180 0.5535 0.6428  4 N 2.72-3.00
Ba 0.6365 0.2320 0.3967  3 N 2.75-3.03
Ba 0.7036 0.8831 0.9011  4 N 2.87-3.07
Ba 0.7528 0.2472 0.7500  3 N 2.72-2.82
Ba 0.7680 0.3635 0.1033  3 N 2.75-3.03
Ba 0.8831 0.7036 0.4011  4 N 2.87-3.07
Ba 0.9174 0.0826 0.2500  3 N 2.78-2.81
Ni 0.0408 0.4572 0.3675  2 N 1.75-1.77
Ni 0.0594 0.2176 0.8858  2 N 1.79-1.81
Ni 0.1280 0.3660 0.1011  2 N 1.78-1.80
Ni 0.2176 0.0594 0.3858  2 N 1.79-1.81
Ni 0.3660 0.1280 0.6011  2 N 1.78-1.80
Ni 0.4572 0.0408 0.8675  2 N 1.75-1.77
Ni 0.5428 0.9592 0.1325  2 N 1.75-1.77
Ni 0.6340 0.8720 0.3989  2 N 1.78-1.80
Ni 0.7824 0.9406 0.6142  2 N 1.79-1.81
Ni 0.8720 0.6340 0.8989  2 N 1.78-1.80
Ni 0.9406 0.7824 0.1142  2 N 1.79-1.81
Ni 0.9592 0.5428 0.6325  2 N 1.75-1.77
N 0.0000 0.5000 0.5000  2 Ni 1.75
N 0.0689 0.4074 0.2288  2 Ni 1.77-1.78
N 0.0849 0.9151 0.2500  2 Ni 1.79
N 0.2463 0.3625 0.9999  2 Ni 1.80-1.81
N 0.3625 0.2463 0.4999  2 Ni 1.80-1.81
N 0.4074 0.0689 0.7288  2 Ni 1.77-1.78
N 0.4070 0.5930 0.7500  6 Ba 2.72-2.87
N 0.5000 0.0000 0.0000  2 Ni 1.75
N 0.5930 0.4070 0.2500  6 Ba 2.72-2.87
N 0.5926 0.9311 0.2712  2 Ni 1.77-1.78
N 0.6375 0.7537 0.5001  2 Ni 1.80-1.81
N 0.7537 0.6375 0.0001  2 Ni 1.80-1.81
N 0.9151 0.0849 0.7500  2 Ni 1.79
N 0.9311 0.5926 0.7712  2 Ni 1.77-1.78

Computed properties:
* crystal system: monoclinic
* space-group type: C2/c
* energy relative to the elements: -12.1 eV/f.u.